Compound: VFe3P6O24
Source: Materials Project
Functional: PBE+U
Structure: relaxed

Geometry as CIF:
```
data_VFe3P6O24
_symmetry_space_group_name_H-M 'R 3'
_symmetry_Int_Tables_number 146
_symmetry_space_group_name_Hall 'R 3'
_cell_length_a 8.6546
_cell_length_b 8.6546
_cell_length_c 21.9598
_cell_angle_alpha 90.00
_cell_angle_beta 90.00
_cell_angle_gamma 120.00
loop_
_atom_site_label
_atom_site_type_symbol
_atom_site_fract_x
_atom_site_fract_y
_atom_site_fract_z
V1 V 0.0000 0.0000 0.0000
Fe1 Fe 0.0000 0.0000 0.2169
Fe2 Fe 0.0000 0.0000 0.5011
Fe3 Fe 0.0000 0.0000 0.7156
P1 P 0.0003 0.2830 0.1085
P2 P 0.0006 0.7156 0.6091
O1 O 0.0208 0.1871 0.0516
O2 O 0.0263 0.8292 0.2693
O3 O 0.0296 0.1982 0.7691
O4 O 0.0403 0.8314 0.5523
O5 O 0.1622 0.6992 0.3327
O6 O 0.1641 0.4636 0.8325
O7 O 0.1683 0.6927 0.6197
O8 O 0.1704 0.4641 0.1131
```

The electronic total energy is -6.95 eV/atom. For the magnetization, the calculation gives 0.323 μB per atom. As for the total energy after the MP2020 corrections: -783.39 eV for the cell shown. Its volume is 13.97 A^3/atom. The calculation puts the formation energy at -2.218 eV/atom.

***

Compound: Na2MnO3
Source: Materials Project
Functional: PBE+U
Structure: relaxed

Geometry as CIF:
```
data_Na2MnO3
_symmetry_space_group_name_H-M 'C 1 2/m 1'
_symmetry_Int_Tables_number 12
_cell_length_a 5.2885
_cell_length_b 9.1650
_cell_length_c 5.6991
_cell_angle_alpha 90.00
_cell_angle_beta 108.64
_cell_angle_gamma 90.00
loop_
_symmetry_equiv_pos_as_xyz
'x,y,z'
'-x,-y,-z'
'-x,y,-z'
'x,-y,z'
'x+1/2,y+1/2,z'
'-x+1/2,-y+1/2,-z'
'-x+1/2,y+1/2,-z'
'x+1/2,-y+1/2,z'
loop_
_atom_site_label
_atom_site_type_symbol
_atom_site_fract_x
_atom_site_fract_y
_atom_site_fract_z
Na1 Na 0.0000 0.0000 0.0000
Na2 Na 0.0000 0.1615 0.5000
Na3 Na 0.0000 0.5000 0.5000
Mn1 Mn 0.0000 0.3359 0.0000
O1 O 0.1919 0.5000 0.2009
O2 O 0.2441 0.3092 0.8002
```

The electronic total energy is -5.73 eV/atom. As for the total energy after the MP2020 corrections: -152.42 eV for the cell shown. Its volume is 10.91 A^3/atom. The calculation puts the formation energy at -1.909 eV/atom. The value obtained for the excess energy over the best structure of this formula in the dataset is 0.0 meV per atom.

***

Question: Among the records above, which one has the lowest formation energy?
Answer: VFe3P6O24